Computed, not measured: a relaxed NaAl11O17 crystal at the PBE level of DFT.

The value obtained for the uncorrected energy is -212.43 eV/f.u. The energy above the most stable polymorph in this dataset is 0.0000 eV/atom. For the formation energy, the calculation gives -3.361 eV/atom. The volume is 630 Å³ per cell.

It has space group P6_3/mmc (No. 194), with a = 5.6519 Å, b = 5.6519 Å, c = 22.7823 Å, α = 90.00°, β = 90.00° and γ = 120.00°. The distinct sites, in fractional coordinates, are Na at (0.3333, 0.6667, 0.2500), Al at (0.0000, 0.0000, 0.0000), Al at (0.1675, 0.3350, 0.1069), Al at (0.3333, 0.6667, 0.5247), Al at (0.3333, 0.6667, 0.6755), O at (0.0000, 0.0000, 0.1414), O at (0.0067, 0.5034, 0.1462), O at (0.1573, 0.3147, 0.5498), O at (0.3333, 0.6667, 0.0556) and O at (0.3333, 0.6667, 0.7500).